# 1
This record from the Materials Project database describes a relaxed structure of Na2TbMoPO8. The functional is GGA+U.

Unit cell a=7.0125 b=12.2666 c=18.1130 alpha=90.00 beta=90.00 gamma=90.00
Space group Ibca (No. 73)
One atom of each set of equivalent atoms:
Na 0.0105 0.0431 0.1548
Tb 0.2500 0.1783 0.5000
Mo 0.0000 0.2500 0.3201
P 0.2500 0.0693 0.0000
O 0.0372 0.1293 0.7667
O 0.0763 0.1478 0.0075
O 0.2065 0.2268 0.3779
O 0.2379 0.0065 0.5684

Properties
As for the energy relative to the elements: -36.04 eV/f.u. The calculation puts the calculated volume at 15.0 A^3/atom. For the spin magnetization, the calculation gives 0.0 μB/cell.

# 2
This record from the Materials Project database describes a relaxed structure of Na2YMoPO8. The functional is GGA+U.

Unit cell a=6.9697 b=12.2439 c=18.2198 alpha=90.00 beta=90.00 gamma=90.00
Space group Ibca (No. 73)
One atom of each set of equivalent atoms:
Na 0.0106 0.0580 0.1529
Y 0.2500 0.1779 0.5000
Mo 0.0000 0.2500 0.3219
P 0.2500 0.0691 0.0000
O 0.0406 0.1306 0.7679
O 0.0759 0.1482 0.0081
O 0.2096 0.2258 0.3788
O 0.2368 0.0063 0.5680

Properties
As for the energy relative to the elements: -35.94 eV/f.u. The calculation puts the calculated volume at 15.0 A^3/atom. For the spin magnetization, the calculation gives 0.0 μB/cell.

# 3
This record from the Materials Project database describes a relaxed structure of Na4PuMo4O16. The functional is GGA+U.

Unit cell a=11.3834 b=11.3834 c=12.0144 alpha=90.00 beta=90.00 gamma=90.00
Space group I4_1/a (No. 88, origin choice 2)
One atom of each set of equivalent atoms:
Na 0.1078 0.0224 0.3463
Pu 0.0000 0.2500 0.1250
Mo 0.0947 0.0689 0.8774
O 0.0348 0.4003 0.8033
O 0.0604 0.3680 0.2732
O 0.0873 0.4237 0.0535
O 0.1724 0.4660 0.4653

Properties
As for the energy relative to the elements: -56.74 eV/f.u. The calculation puts the calculated volume at 15.6 A^3/atom. For the spin magnetization, the calculation gives 16.0 μB/cell.

# 4
This record from the Materials Project database describes a relaxed structure of Na4MoS3O14. The functional is GGA+U.

Unit cell a=8.6264 b=9.4705 c=15.3493 alpha=90.00 beta=90.00 gamma=90.00
Space group P2_12_12_1 (No. 19)
One atom of each set of equivalent atoms:
Na 0.0679 0.0341 0.2878
Na 0.1700 0.9860 0.0306
Na 0.1943 0.2599 0.6826
Na 0.1999 0.5804 0.8383
Mo 0.2258 0.6085 0.5731
S 0.0280 0.6435 0.0156
S 0.0781 0.7029 0.3815
S 0.1271 0.8768 0.7038
O 0.0016 0.2032 0.5707
O 0.0350 0.4055 0.7727
O 0.0528 0.5208 0.5565
O 0.0689 0.5528 0.3550
O 0.0731 0.2413 0.0754
O 0.1064 0.7429 0.0750
O 0.1095 0.0796 0.4435
O 0.1125 0.7940 0.3065
O 0.1184 0.7789 0.6227
O 0.1455 0.5193 0.9953
O 0.2034 0.4696 0.1685
O 0.2047 0.7215 0.4491
O 0.2104 0.0054 0.6764
O 0.2135 0.8019 0.7722

Properties
As for the energy relative to the elements: -46.12 eV/f.u. The calculation puts the calculated volume at 14.2 A^3/atom. For the spin magnetization, the calculation gives 0.0 μB/cell.

# 5
This record from the Materials Project database describes a relaxed structure of NaSbMoO5. The functional is GGA+U.

Unit cell a=8.6975 b=11.2010 c=5.7358 alpha=90.00 beta=102.69 gamma=90.00
Space group P2_1/c (No. 14)
One atom of each set of equivalent atoms:
Na 0.0846 0.1401 0.0332
Sb 0.4498 0.1641 0.8197
Mo 0.2032 0.5919 0.0580
O 0.0636 0.6814 0.1594
O 0.1284 0.5465 0.7591
O 0.2493 0.0420 0.7487
O 0.3335 0.2370 0.0491
O 0.3875 0.6729 0.0754

Properties
As for the energy relative to the elements: -16.10 eV/f.u. The calculation puts the calculated volume at 17.0 A^3/atom. For the spin magnetization, the calculation gives 0.0 μB/cell.

# 6
This record from the Materials Project database describes a relaxed structure of Na2Sc4Zn2Mo9O36. The functional is GGA+U.

Unit cell a=9.6410 b=9.6411 c=23.7013 alpha=89.80 beta=89.80 gamma=60.28
Space group P1 (No. 1)
One atom of each set of equivalent atoms:
Na 0.0000 0.0000 0.0000
Na 0.9998 0.0004 0.4991
Na 0.3334 0.3333 0.1660
Na 0.6662 0.6676 0.8329
Sc 0.1554 0.1553 0.7100
Sc 0.1870 0.1875 0.4522
Sc 0.1875 0.1877 0.9534
Sc 0.4882 0.4890 0.3770
Sc 0.5162 0.5169 0.6199
Sc 0.5197 0.5223 0.1198
Sc 0.8491 0.8501 0.2863
Sc 0.8540 0.8529 0.7857
Zn 0.1516 0.1497 0.2115
Zn 0.4824 0.4853 0.8790
Zn 0.8170 0.8174 0.5447
Zn 0.8167 0.8180 0.0459
Mo 0.0492 0.6236 0.9159
Mo 0.0964 0.8131 0.1528
Mo 0.1460 0.4295 0.3193
Mo 0.1917 0.9090 0.3439
Mo 0.2374 0.5294 0.5107
Mo 0.2898 0.7162 0.7497
Mo 0.3843 0.9545 0.5816
Mo 0.4319 0.1461 0.8204
Mo 0.4792 0.7640 0.9859
Mo 0.5285 0.2398 0.0106
Mo 0.5711 0.8631 0.1768
Mo 0.6231 0.0496 0.4165
Mo 0.7177 0.2880 0.2483
Mo 0.7651 0.4792 0.4873
Mo 0.8127 0.0961 0.6527
Mo 0.8584 0.5757 0.6771
Mo 0.9051 0.1955 0.8444
Mo 0.9562 0.3833 0.0825
O 0.0159 0.1488 0.9098
O 0.0178 0.2104 0.7866
O 0.0329 0.8683 0.3301
O 0.0345 0.2444 0.0234
O 0.0436 0.3920 0.6844
O 0.0582 0.7174 0.5175
O 0.0722 0.4317 0.9336
O 0.0931 0.3062 0.1404
O 0.0974 0.7397 0.7670
O 0.1281 0.3194 0.3776
O 0.1373 0.9702 0.1667
O 0.1469 0.0179 0.4101
O 0.1905 0.3220 0.2544
O 0.1991 0.3679 0.4972
O 0.2090 0.0188 0.2867
O 0.2384 0.6001 0.8976
O 0.2440 0.0342 0.5234
O 0.2646 0.9081 0.7314
O 0.2800 0.6214 0.1464
O 0.2877 0.9474 0.9795
O 0.3039 0.0881 0.6405
O 0.3050 0.4702 0.3338
O 0.3191 0.1886 0.7564
O 0.3195 0.1291 0.8778
O 0.3505 0.4859 0.5745
O 0.3506 0.5437 0.4529
O 0.3679 0.1997 0.9971
O 0.3691 0.5838 0.6907
O 0.3769 0.7253 0.3511
O 0.3908 0.0518 0.1838
O 0.4071 0.7638 0.5999
O 0.4269 0.6383 0.8073
O 0.4307 0.0728 0.4337
O 0.4618 0.6525 0.0439
O 0.4710 0.3042 0.8339
O 0.4817 0.3507 0.0764
O 0.5249 0.6551 0.9210
O 0.5327 0.7007 0.1636
O 0.5434 0.3512 0.9535
O 0.5732 0.9322 0.5642
O 0.5774 0.3674 0.1900
O 0.5980 0.2414 0.3980
O 0.6138 0.9548 0.8134
O 0.6280 0.2799 0.6459
O 0.6363 0.8048 0.0000
O 0.6372 0.4213 0.3072
O 0.6531 0.4627 0.5448
O 0.6525 0.5217 0.4232
O 0.6833 0.8774 0.1198
O 0.6846 0.8195 0.2411
O 0.6996 0.5349 0.6635
O 0.7024 0.9171 0.3574
O 0.7167 0.0592 0.0170
O 0.7257 0.3830 0.8506
O 0.7404 0.0973 0.2666
O 0.7603 0.9718 0.4740
O 0.7646 0.4059 0.1003
O 0.7950 0.9861 0.7111
O 0.8042 0.6373 0.5005
O 0.8134 0.6844 0.7434
O 0.8573 0.9885 0.5878
O 0.8654 0.0357 0.8306
O 0.8757 0.6854 0.6200
O 0.9068 0.2653 0.2308
O 0.9103 0.7019 0.8568
O 0.9325 0.5727 0.0642
O 0.9472 0.2878 0.4802
O 0.9613 0.6133 0.3126
O 0.9716 0.1370 0.6672
O 0.9719 0.7604 0.9738
O 0.9854 0.7962 0.2110
O 0.9879 0.8587 0.0878

Properties
As for the energy relative to the elements: -127.16 eV/f.u. The calculation puts the calculated volume at 18.0 A^3/atom. For the spin magnetization, the calculation gives 0.0 μB/cell.